[1]
AgS8N9Cl2O12 after structural relaxation. Source: the Materials Project, functional PBE.

Unit cell a=12.977 b=12.977 c=12.977 alpha=106.63 beta=106.63 gamma=115.32
Atoms (fractional coordinates):
Ag  0.250  0.750  0.500
Ag  0.000  0.000  0.000
S  0.142  0.523  0.254
S  0.108  0.863  0.881
S  0.268  0.887  0.746
S  0.982  0.227  0.119
S  0.477  0.732  0.619
S  0.773  0.892  0.754
S  0.113  0.858  0.381
S  0.137  0.018  0.246
S  0.375  0.570  0.263
S  0.875  0.637  0.695
S  0.308  0.113  0.737
S  0.942  0.180  0.305
S  0.430  0.692  0.805
S  0.820  0.125  0.763
S  0.887  0.625  0.195
S  0.363  0.058  0.237
N  0.750  0.250  0.500
N  0.500  0.500  0.000
N  0.399  0.899  0.500
N  0.851  0.851  0.000
N  0.101  0.601  0.500
N  0.149  0.149  0.000
N  0.625  0.810  0.685
N  0.125  0.940  0.315
N  0.190  0.875  0.815
N  0.060  0.375  0.185
N  0.813  0.378  0.802
N  0.437  0.738  0.065
N  0.576  0.012  0.198
N  0.674  0.372  0.935
N  0.622  0.424  0.435
N  0.628  0.563  0.302
N  0.988  0.187  0.565
N  0.262  0.326  0.698
Cl  0.125  0.226  0.601
Cl  0.625  0.524  0.399
Cl  0.774  0.375  0.899
Cl  0.476  0.875  0.101
O  0.452  0.705  0.352
O  0.798  0.650  0.754
O  0.354  0.100  0.648
O  0.896  0.045  0.246
O  0.295  0.646  0.746
O  0.955  0.202  0.852
O  0.900  0.548  0.254
O  0.350  0.104  0.148
O  0.363  0.476  0.305
O  0.887  0.692  0.613
O  0.171  0.058  0.695
O  0.079  0.274  0.387
O  0.524  0.829  0.887
O  0.726  0.113  0.805
O  0.942  0.637  0.113
O  0.308  0.921  0.195
O  0.329  0.532  0.135
O  0.921  0.557  0.704
O  0.397  0.193  0.865
O  0.853  0.218  0.296
O  0.468  0.603  0.796
O  0.782  0.079  0.635
O  0.807  0.671  0.204
O  0.443  0.147  0.365

Properties
Space group: I-42d
Offset from the most stable computed form, meV per atom: 159
Spin magnetization, μB/cell: 15.93
V, Å³ per cell: 1669



[2]
AgS8N9Cl2O12 after structural relaxation. Source: the Materials Project, functional PBE.

Unit cell a=12.477 b=12.477 c=12.477 alpha=109.69 beta=109.69 gamma=109.03
Atoms (fractional coordinates):
Ag  0.750  0.250  0.500
Ag  0.000  0.000  0.000
S  0.506  0.131  0.191
S  0.810  0.119  0.875
S  0.940  0.315  0.809
S  0.244  0.935  0.125
S  0.685  0.494  0.625
S  0.881  0.756  0.691
S  0.869  0.060  0.375
S  0.065  0.190  0.309
S  0.579  0.450  0.299
S  0.599  0.800  0.629
S  0.151  0.280  0.701
S  0.171  0.970  0.371
S  0.720  0.421  0.871
S  0.200  0.829  0.799
S  0.550  0.849  0.129
S  0.030  0.401  0.201
N  0.250  0.750  0.500
N  0.500  0.500  0.000
N  0.894  0.394  0.500
N  0.856  0.856  0.000
N  0.606  0.106  0.500
N  0.144  0.144  0.000
N  0.786  0.625  0.661
N  0.964  0.125  0.339
N  0.875  0.214  0.839
N  0.375  0.036  0.161
N  0.283  0.741  0.756
N  0.764  0.509  0.041
N  0.986  0.527  0.244
N  0.467  0.723  0.959
N  0.473  0.717  0.459
N  0.491  0.533  0.256
N  0.259  0.014  0.541
N  0.277  0.236  0.744
Cl  0.303  0.125  0.678
Cl  0.447  0.625  0.322
Cl  0.375  0.697  0.822
Cl  0.875  0.553  0.178
O  0.716  0.549  0.383
O  0.584  0.701  0.667
O  0.166  0.332  0.617
O  0.034  0.918  0.333
O  0.668  0.284  0.833
O  0.299  0.966  0.883
O  0.451  0.834  0.167
O  0.082  0.416  0.117
O  0.514  0.395  0.361
O  0.716  0.855  0.620
O  0.034  0.154  0.639
O  0.236  0.096  0.380
O  0.846  0.486  0.880
O  0.145  0.764  0.861
O  0.605  0.966  0.120
O  0.904  0.284  0.139
O  0.541  0.357  0.167
O  0.560  0.893  0.684
O  0.190  0.374  0.833
O  0.209  0.876  0.316
O  0.626  0.459  0.816
O  0.107  0.791  0.667
O  0.643  0.810  0.184
O  0.124  0.440  0.333

Properties
Space group: I-42d
Offset from the most stable computed form, meV per atom: 0
Spin magnetization, μB/cell: 15.99
V, Å³ per cell: 1495



[3]
Na2AgSbCl6 after structural relaxation. Source: the Materials Project, functional PBE.

Unit cell a=7.526 b=7.526 c=7.526 alpha=60.00 beta=60.00 gamma=60.00
Atoms (fractional coordinates):
Na  0.750  0.750  0.750
Na  0.250  0.250  0.250
Ag  0.500  0.500  0.500
Sb  0.000  0.000  0.000
Cl  0.751  0.249  0.249
Cl  0.249  0.249  0.751
Cl  0.249  0.751  0.751
Cl  0.249  0.751  0.249
Cl  0.751  0.249  0.751
Cl  0.751  0.751  0.249

Properties
Space group: Fm-3m
Spin magnetization, μB/cell: 0.00
V, Å³ per cell: 301
Raw total energy, eV per atom: -3.083



[4]
Na2ScAgCl6 after structural relaxation. Source: the Materials Project, functional PBE.

Unit cell a=7.311 b=7.311 c=7.311 alpha=60.00 beta=60.00 gamma=60.00
Atoms (fractional coordinates):
Na  0.750  0.750  0.750
Na  0.250  0.250  0.250
Sc  0.000  0.000  0.000
Ag  0.500  0.500  0.500
Cl  0.760  0.240  0.240
Cl  0.240  0.240  0.760
Cl  0.240  0.760  0.760
Cl  0.240  0.760  0.240
Cl  0.760  0.240  0.760
Cl  0.760  0.760  0.240

Properties
Space group: Fm-3m
Spin magnetization, μB/cell: 0.00
V, Å³ per cell: 276
Raw total energy, eV per atom: -3.821



[5]
SiAg5ClO4 after structural relaxation. Source: the Materials Project, functional PBE.

Unit cell a=12.987 b=13.027 c=19.458 alpha=90.00 beta=90.00 gamma=118.53
Atoms (fractional coordinates):
Si  0.678  0.577  0.609
Si  0.317  0.931  0.102
Si  0.817  0.931  0.398
Si  0.178  0.577  0.891
Si  0.564  0.680  0.103
Si  0.064  0.680  0.397
Si  0.683  0.069  0.898
Si  0.936  0.320  0.603
Si  0.569  0.171  0.394
Si  0.822  0.423  0.109
Si  0.322  0.423  0.391
Si  0.183  0.069  0.602
Si  0.431  0.829  0.606
Si  0.069  0.171  0.106
Si  0.931  0.829  0.894
Si  0.436  0.320  0.897
Ag  0.580  0.926  0.752
Ag  0.501  0.332  0.292
Ag  0.554  0.701  0.394
Ag  0.056  0.943  0.463
Ag  0.946  0.299  0.894
Ag  0.559  0.943  0.463
Ag  0.449  0.570  0.533
Ag  0.074  0.433  0.748
Ag  0.332  0.207  0.056
Ag  0.047  0.422  0.452
Ag  0.453  0.578  0.952
Ag  0.182  0.800  0.960
Ag  0.318  0.200  0.460
Ag  0.080  0.926  0.748
Ag  0.193  0.250  0.257
Ag  0.816  0.454  0.700
Ag  0.941  0.057  0.963
Ag  0.184  0.546  0.300
Ag  0.693  0.250  0.243
Ag  0.682  0.800  0.540
Ag  0.457  0.833  0.199
Ag  0.297  0.942  0.399
Ag  0.797  0.942  0.101
Ag  0.447  0.805  0.902
Ag  0.705  0.310  0.533
Ag  0.426  0.567  0.248
Ag  0.354  0.006  0.702
Ag  0.059  0.943  0.037
Ag  0.732  0.806  0.242
Ag  0.043  0.167  0.699
Ag  0.001  0.332  0.208
Ag  0.446  0.299  0.606
Ag  0.768  0.194  0.742
Ag  0.553  0.195  0.098
Ag  0.574  0.433  0.752
Ag  0.203  0.058  0.899
Ag  0.999  0.668  0.792
Ag  0.499  0.668  0.708
Ag  0.791  0.442  0.396
Ag  0.795  0.690  0.033
Ag  0.316  0.454  0.800
Ag  0.953  0.578  0.548
Ag  0.668  0.793  0.944
Ag  0.232  0.806  0.258
Ag  0.768  0.660  0.447
Ag  0.054  0.701  0.106
Ag  0.291  0.442  0.104
Ag  0.920  0.074  0.252
Ag  0.420  0.074  0.248
Ag  0.684  0.546  0.200
Ag  0.307  0.750  0.757
Ag  0.051  0.430  0.033
Ag  0.168  0.793  0.556
Ag  0.551  0.430  0.467
Ag  0.146  0.994  0.202
Ag  0.556  0.943  0.037
Ag  0.053  0.195  0.402
Ag  0.543  0.167  0.801
Ag  0.832  0.207  0.444
Ag  0.957  0.833  0.301
Ag  0.807  0.750  0.743
Ag  0.547  0.422  0.048
Ag  0.232  0.340  0.553
Ag  0.268  0.660  0.053
Ag  0.205  0.310  0.967
Ag  0.854  0.006  0.798
Ag  0.209  0.558  0.604
Ag  0.944  0.057  0.537
Ag  0.709  0.558  0.896
Ag  0.947  0.805  0.598
Ag  0.295  0.690  0.467
Ag  0.818  0.200  0.040
Ag  0.703  0.058  0.601
Ag  0.444  0.057  0.963
Ag  0.268  0.194  0.758
Ag  0.926  0.567  0.252
Ag  0.441  0.057  0.537
Ag  0.646  0.994  0.298
Ag  0.732  0.340  0.947
Ag  0.949  0.570  0.967
Cl  0.907  0.802  0.175
Cl  0.673  0.073  0.178
Cl  0.827  0.927  0.678
Cl  0.329  0.424  0.671
Cl  0.932  0.341  0.328
Cl  0.568  0.659  0.828
Cl  0.593  0.198  0.675
Cl  0.327  0.927  0.822
Cl  0.171  0.576  0.171
Cl  0.432  0.341  0.172
Cl  0.173  0.073  0.322
Cl  0.068  0.659  0.672
Cl  0.093  0.198  0.825
Cl  0.407  0.802  0.325
Cl  0.829  0.424  0.829
Cl  0.671  0.576  0.329
O  0.934  0.604  0.434
O  0.597  0.645  0.609
O  0.360  0.393  0.901
O  0.703  0.348  0.062
O  0.097  0.645  0.891
O  0.698  0.858  0.351
O  0.302  0.142  0.649
O  0.143  0.097  0.102
O  0.891  0.554  0.073
O  0.198  0.858  0.149
O  0.297  0.652  0.938
O  0.860  0.393  0.599
O  0.434  0.604  0.066
O  0.797  0.652  0.562
O  0.143  0.293  0.151
O  0.637  0.804  0.060
O  0.719  0.046  0.976
O  0.066  0.396  0.566
O  0.863  0.196  0.560
O  0.607  0.940  0.860
O  0.203  0.348  0.438
O  0.547  0.209  0.472
O  0.893  0.060  0.360
O  0.781  0.954  0.476
O  0.059  0.905  0.856
O  0.050  0.709  0.316
O  0.392  0.858  0.097
O  0.108  0.142  0.597
O  0.559  0.905  0.644
O  0.363  0.196  0.940
O  0.357  0.707  0.651
O  0.711  0.564  0.689
O  0.609  0.446  0.573
O  0.550  0.709  0.184
O  0.140  0.607  0.401
O  0.289  0.436  0.311
O  0.047  0.209  0.028
O  0.450  0.291  0.816
O  0.219  0.046  0.524
O  0.109  0.446  0.927
O  0.391  0.554  0.427
O  0.789  0.436  0.189
O  0.643  0.097  0.398
O  0.857  0.903  0.898
O  0.453  0.791  0.528
O  0.640  0.607  0.099
O  0.950  0.291  0.684
O  0.608  0.142  0.903
O  0.441  0.095  0.356
O  0.941  0.095  0.144
O  0.357  0.903  0.602
O  0.281  0.954  0.024
O  0.903  0.355  0.109
O  0.211  0.564  0.811
O  0.857  0.707  0.849
O  0.802  0.142  0.851
O  0.643  0.293  0.349
O  0.393  0.060  0.140
O  0.566  0.396  0.934
O  0.892  0.858  0.403
O  0.107  0.940  0.640
O  0.953  0.791  0.972
O  0.137  0.804  0.440
O  0.403  0.355  0.391

Properties
Space group: P2_1/c
Spin magnetization, μB/cell: 0.00
V, Å³ per cell: 2892
Raw total energy, eV per atom: -4.616



[6]
Ag5PS4Cl2 after structural relaxation. Source: the Materials Project, functional PBE.

Unit cell a=6.334 b=6.453 c=7.488 alpha=90.00 beta=90.00 gamma=119.39
Atoms (fractional coordinates):
Ag  0.938  0.618  0.781
Ag  0.595  0.000  0.500
Ag  0.938  0.618  0.219
Ag  0.320  0.382  0.219
Ag  0.320  0.382  0.781
P  0.539  0.000  0.000
S  0.350  0.000  0.772
S  0.350  0.000  0.228
S  0.589  0.704  0.000
S  0.885  0.296  0.000
Cl  0.057  0.345  0.500
Cl  0.712  0.655  0.500

Properties
Space group: Amm2
Spin magnetization, μB/cell: 0.00
V, Å³ per cell: 267
Maximum piezoelectric response, C/m2: 1.40
Raw total energy, eV per atom: -3.597



[7]
Ag2PdCl4 after structural relaxation. Source: the Materials Project, functional PBE.

Unit cell a=6.553 b=6.553 c=8.248 alpha=90.00 beta=90.00 gamma=100.91
Atoms (fractional coordinates):
Ag  0.029  0.529  0.750
Ag  0.471  0.971  0.250
Ag  0.529  0.029  0.750
Ag  0.971  0.471  0.250
Pd  0.000  0.000  0.000
Pd  0.500  0.500  0.500
Cl  0.193  0.193  0.795
Cl  0.307  0.307  0.295
Cl  0.693  0.693  0.705
Cl  0.807  0.807  0.205
Cl  0.730  0.270  0.500
Cl  0.770  0.230  0.000
Cl  0.230  0.770  0.000
Cl  0.270  0.730  0.500

Properties
Space group: Cmce
V, Å³ per cell: 348
Raw total energy, eV per atom: -3.062



[8]
Rb2PrAgCl6 after structural relaxation. Source: the Materials Project, functional PBE.

Unit cell a=7.767 b=7.767 c=7.767 alpha=60.00 beta=60.00 gamma=60.00
Atoms (fractional coordinates):
Rb  0.750  0.750  0.750
Rb  0.250  0.250  0.250
Pr  0.500  0.500  0.500
Ag  0.000  0.000  0.000
Cl  0.750  0.250  0.250
Cl  0.250  0.250  0.750
Cl  0.250  0.750  0.750
Cl  0.250  0.750  0.250
Cl  0.750  0.250  0.750
Cl  0.750  0.750  0.250

Properties
Space group: Fm-3m
Spin magnetization, μB/cell: 0.00
V, Å³ per cell: 331
Raw total energy, eV per atom: -3.847



Q: Which of these has the highest V?
A: SiAg5ClO4



Q: Which value of V does entry 5 give?
A: 2892 Å³ per cell